A plane-wave DFT calculation with GGA-PBE was carried out for a relaxed CaAl2Si2O12 crystal.

Calculated values
Offset from the most stable computed form ... 10.2 kJ/mol of atoms
M_tot ... 16.00 μB/cell
Formation energy from the elements ... -37.6 eV/f.u.

Lattice parameters (Å, degrees): 9.427 10.733 10.268 90.00 91.76 90.00
Space group P2_1 (No. 4)
Inequivalent atoms, fractional coordinates:
1 Ca 0.213 0.000 0.461
2 Ca 0.223 0.340 0.958
3 Al 0.071 0.759 0.605
4 Al 0.072 0.571 0.107
5 Al 0.416 0.537 0.405
6 Al 0.418 0.800 0.920
7 Si 0.077 0.794 0.917
8 Si 0.079 0.535 0.420
9 Si 0.406 0.792 0.599
10 Si 0.414 0.560 0.089
11 O 0.002 0.127 0.475
12 O 0.003 0.198 0.981
13 O 0.012 0.907 0.556
14 O 0.021 0.419 0.060
15 O 0.053 0.589 0.273
16 O 0.060 0.738 0.770
17 O 0.134 0.923 0.224
18 O 0.172 0.262 0.741
19 O 0.228 0.847 0.196
20 O 0.241 0.830 0.951
21 O 0.244 0.784 0.542
22 O 0.245 0.552 0.048
23 O 0.246 0.514 0.455
24 O 0.294 0.153 0.158
25 O 0.325 0.479 0.751
26 O 0.364 0.174 0.467
27 O 0.366 0.079 0.223
28 O 0.396 0.395 0.704
29 O 0.433 0.772 0.750
30 O 0.441 0.575 0.245
31 O 0.459 0.925 0.540
32 O 0.464 0.422 0.036
33 O 0.484 0.669 0.514
34 O 0.488 0.676 0.015

A plane-wave DFT calculation with GGA-PBE was carried out for a relaxed CaAl2Si3O13 crystal.

Calculated values
Offset from the most stable computed form ... 2.1 kJ/mol of atoms
M_tot ... 24.00 μB/cell
Formation energy from the elements ... -47.9 eV/f.u.

Lattice parameters (Å, degrees): 6.632 18.409 9.811 90.00 108.12 90.00
Space group Cc (No. 9)
Inequivalent atoms, fractional coordinates:
1 Ca 0.000 0.104 0.000
2 Al 0.237 0.279 0.972
3 Al 0.299 0.470 0.116
4 Si 0.096 0.164 0.733
5 Si 0.379 0.122 0.550
6 Si 0.420 0.413 0.851
7 O 0.014 0.309 0.021
8 O 0.028 0.451 0.079
9 O 0.085 0.215 0.179
10 O 0.170 0.316 0.440
11 O 0.171 0.192 0.900
12 O 0.174 0.108 0.410
13 O 0.276 0.343 0.851
14 O 0.305 0.137 0.691
15 O 0.377 0.477 0.957
16 O 0.379 0.443 0.688
17 O 0.383 0.064 0.112
18 O 0.448 0.407 0.241
19 O 0.463 0.275 0.123

A plane-wave DFT calculation with GGA-PBE was carried out for a relaxed CaAl4SiO12 crystal.

Calculated values
M_tot ... 12.00 μB/cell
Formation energy from the elements ... -44.8 eV/f.u.

Lattice parameters (Å, degrees): 7.594 7.288 6.932 90.00 90.00 90.00
Space group Amm2 (No. 38)
Inequivalent atoms, fractional coordinates:
1 Ca 0.000 0.000 0.000
2 Al 0.259 0.241 0.714
3 Si 0.500 0.000 0.437
4 O 0.000 0.198 0.706
5 O 0.208 0.000 0.265
6 O 0.247 0.179 0.967
7 O 0.336 0.000 0.607
8 O 0.500 0.181 0.287

Copy entry 1 word for word.
A plane-wave DFT calculation with GGA-PBE was carried out for a relaxed CaAl2Si2O12 crystal.

Calculated values
Offset from the most stable computed form ... 10.2 kJ/mol of atoms
M_tot ... 16.00 μB/cell
Formation energy from the elements ... -37.6 eV/f.u.

Lattice parameters (Å, degrees): 9.427 10.733 10.268 90.00 91.76 90.00
Space group P2_1 (No. 4)
Inequivalent atoms, fractional coordinates:
1 Ca 0.213 0.000 0.461
2 Ca 0.223 0.340 0.958
3 Al 0.071 0.759 0.605
4 Al 0.072 0.571 0.107
5 Al 0.416 0.537 0.405
6 Al 0.418 0.800 0.920
7 Si 0.077 0.794 0.917
8 Si 0.079 0.535 0.420
9 Si 0.406 0.792 0.599
10 Si 0.414 0.560 0.089
11 O 0.002 0.127 0.475
12 O 0.003 0.198 0.981
13 O 0.012 0.907 0.556
14 O 0.021 0.419 0.060
15 O 0.053 0.589 0.273
16 O 0.060 0.738 0.770
17 O 0.134 0.923 0.224
18 O 0.172 0.262 0.741
19 O 0.228 0.847 0.196
20 O 0.241 0.830 0.951
21 O 0.244 0.784 0.542
22 O 0.245 0.552 0.048
23 O 0.246 0.514 0.455
24 O 0.294 0.153 0.158
25 O 0.325 0.479 0.751
26 O 0.364 0.174 0.467
27 O 0.366 0.079 0.223
28 O 0.396 0.395 0.704
29 O 0.433 0.772 0.750
30 O 0.441 0.575 0.245
31 O 0.459 0.925 0.540
32 O 0.464 0.422 0.036
33 O 0.484 0.669 0.514
34 O 0.488 0.676 0.015